1.
Computed, not measured: a relaxed structure of EuAl2Ge2 at the GGA-PBE level of DFT.

Cell: 4.2544 4.2544 7.1860 Å, 90.00 90.00 120.00°
Space group P-3m1 (No. 164)
Unique sites:
Eu (0.0000, 0.0000, 0.0000) [1 per cell]
Al (0.3333, 0.6667, 0.6301) [2 per cell]
Ge (0.3333, 0.6667, 0.2639) [2 per cell]

2.
Computed, not measured: a relaxed structure of LaEuAl4 at the GGA-PBE level of DFT.

Cell: 8.159 8.159 8.159 Å, 90.00 90.00 90.00°
Space group F-43m (No. 216)
Unique sites:
La (0.000, 0.000, 0.000) [4 per cell]
Eu (0.250, 0.250, 0.750) [4 per cell]
Al (0.125, 0.125, 0.375) [16 per cell]

What did we get for energy of formation? Answer: -0.433 -0.449 eV/atom, in the order shown.
What did we get for final energy? Answer: -5.831 -5.478 eV per atom, in the order shown.